Material: BaY3Cl11
Method: DFT, PBE
State: relaxed

abc: 7.438 9.402 35.112
angles: 90.00 90.00 90.00
Atoms (fractional coordinates):
Ba1 0.229 0.098 0.289
Ba2 0.271 0.902 0.789
Ba3 0.729 0.402 0.711
Ba4 0.771 0.598 0.211
Y1 0.233 0.060 0.650
Y2 0.241 0.412 0.532
Y3 0.243 0.747 0.411
Y4 0.257 0.253 0.911
Y5 0.259 0.588 0.032
Y6 0.267 0.940 0.150
Y7 0.733 0.440 0.350
Y8 0.741 0.088 0.468
Y9 0.743 0.753 0.589
Y10 0.757 0.247 0.089
Y11 0.759 0.912 0.968
Y12 0.767 0.560 0.850
Cl1 0.017 0.230 0.498
Cl2 0.032 0.405 0.065
Cl3 0.034 0.550 0.379
Cl4 0.043 0.052 0.941
Cl5 0.048 0.887 0.605
Cl6 0.071 0.673 0.827
Cl7 0.108 0.762 0.199
Cl8 0.223 0.870 0.705
Cl9 0.233 0.586 0.473
Cl10 0.243 0.746 0.094
Cl11 0.250 0.140 0.843
Cl12 0.250 0.860 0.343
Cl13 0.257 0.254 0.594
Cl14 0.267 0.414 0.973
Cl15 0.277 0.130 0.205
Cl16 0.392 0.238 0.699
Cl17 0.429 0.327 0.327
Cl18 0.452 0.113 0.105
Cl19 0.457 0.948 0.441
Cl20 0.466 0.450 0.879
Cl21 0.468 0.595 0.565
Cl22 0.483 0.770 0.998
Cl23 0.517 0.270 0.502
Cl24 0.532 0.095 0.935
Cl25 0.534 0.950 0.621
Cl26 0.543 0.448 0.059
Cl27 0.548 0.613 0.395
Cl28 0.571 0.827 0.173
Cl29 0.608 0.738 0.801
Cl30 0.723 0.630 0.295
Cl31 0.733 0.914 0.527
Cl32 0.743 0.754 0.906
Cl33 0.750 0.360 0.157
Cl34 0.750 0.640 0.657
Cl35 0.757 0.246 0.406
Cl36 0.767 0.086 0.027
Cl37 0.777 0.370 0.795
Cl38 0.892 0.262 0.301
Cl39 0.929 0.173 0.673
Cl40 0.952 0.387 0.895
Cl41 0.957 0.552 0.559
Cl42 0.966 0.050 0.121
Cl43 0.968 0.905 0.435
Cl44 0.983 0.730 0.002

Calculated values
Offset from the most stable computed form ... 19 meV/atom
Energy of formation from the pure elements ... -2.6983 eV per atom
Density ... 2148 kg/m3
Total magnetization ... 0.00 μB/f.u.
Calculated volume ... 2455.43 Å³/cell
Final energy ... -0.3693 Ry/atom


Material: Li2CaTa2O7
Method: DFT, PBE
State: relaxed

abc: 9.720 9.720 9.720
angles: 156.52 156.52 33.44
Atoms (fractional coordinates):
Li1 0.250 0.750 0.500
Li2 0.750 0.250 0.500
Ca1 0.000 0.000 0.000
Ta1 0.389 0.389 0.000
Ta2 0.611 0.611 0.000
O1 0.100 0.600 0.500
O2 0.286 0.286 0.000
O3 0.400 0.900 0.500
O4 0.500 0.500 0.000
O5 0.600 0.100 0.500
O6 0.714 0.714 0.000
O7 0.900 0.400 0.500

Calculated values
Offset from the most stable computed form ... 26 meV/atom
Energy of formation from the pure elements ... -3.1835 eV per atom
Density ... 6019 kg/m3
Total magnetization ... 0.00 μB/f.u.
Calculated volume ... 145.62 Å³/cell
Final energy ... -0.5976 Ry/atom


Material: SiMo
Method: DFT, PBE
State: relaxed

abc: 3.134 3.134 3.523
angles: 90.00 90.00 120.00
Atoms (fractional coordinates):
Si1 0.000 0.000 0.000
Mo1 0.333 0.667 0.500

Calculated values
Energy of formation from the pure elements ... -0.2996 eV per atom
Density ... 6874 kg/m3
Total magnetization ... 0.00 μB/f.u.
Calculated volume ... 29.96 Å³/cell
Final energy ... -0.6200 Ry/atom